[1]
This record from the Materials Project database describes an optimized crystal structure of K4Nb11Al2O20F. The functional is GGA-PBE.

Unit cell a=8.9927 b=8.9927 c=8.9927 alpha=120.62 beta=120.62 gamma=88.92
Positions (direct):
K1 0.5000 0.1925 0.6925
K2 0.1925 0.5000 0.6925
K3 0.8075 0.5000 0.3075
K4 0.5000 0.8075 0.3075
Nb1 0.3239 0.0010 0.0000
Nb2 0.3153 0.3153 0.0000
Nb3 0.0000 0.0000 0.0000
Nb4 0.0010 0.0010 0.6771
Nb5 0.6761 0.9990 0.0000
Nb6 0.6761 0.6761 0.6771
Nb7 0.0010 0.3239 0.0000
Nb8 0.3239 0.3239 0.3229
Nb9 0.9990 0.9990 0.3229
Nb10 0.9990 0.6761 0.0000
Nb11 0.6847 0.6847 0.0000
Al1 0.7500 0.2500 0.5000
Al2 0.2500 0.7500 0.5000
O1 0.8401 0.8401 0.3307
O2 0.4906 0.1599 0.0000
O3 0.5054 0.1663 0.3391
O4 0.8272 0.1663 0.6609
O5 0.5094 0.8401 0.0000
O6 0.4906 0.4906 0.3307
O7 0.8303 0.1697 0.0000
O8 0.1663 0.5054 0.3391
O9 0.8337 0.4946 0.6609
O10 0.8337 0.1728 0.3391
O11 0.1728 0.8337 0.3391
O12 0.1697 0.8303 0.0000
O13 0.1663 0.8272 0.6609
O14 0.1599 0.4906 0.0000
O15 0.4946 0.8337 0.6609
O16 0.1599 0.1599 0.6693
O17 0.5094 0.5094 0.6693
O18 0.1697 0.1697 0.3393
O19 0.8401 0.5094 0.0000
O20 0.8303 0.8303 0.6607
F1 0.5000 0.5000 0.0000

Computed properties:
Total magnetic moment   0.00 μB/cell
Total energy after the MP2020 corrections   -8.649 eV/atom
Formation energy from the elements   -2.756 eV per atom



[2]
This record from the Materials Project database describes an optimized crystal structure of K2Al2O2F9. The functional is GGA-PBE.

Unit cell a=11.0136 b=3.7804 c=11.1962 alpha=89.92 beta=90.00 gamma=90.00
Positions (direct):
F1 0.2323 0.4987 0.9758
F2 0.7966 0.4995 0.2543
F3 0.6003 0.9995 0.6210
F4 0.5000 0.5000 0.5000
F5 0.8997 0.9995 0.1210
F6 0.4723 0.4986 0.7256
F7 0.0000 0.5000 0.0000
F8 0.0277 0.4986 0.2256
F9 0.9723 0.5014 0.7744
F10 0.3997 0.0005 0.3790
F11 0.7323 0.5013 0.5242
F12 0.5277 0.5014 0.2744
F13 0.2966 0.5005 0.2457
F14 0.2677 0.4987 0.4758
F15 0.2034 0.5005 0.7457
F16 0.7677 0.5013 0.0242
F17 0.7034 0.4995 0.7543
F18 0.1003 0.0005 0.8790
K1 0.1828 0.0005 0.1452
K2 0.8172 0.9995 0.8548
K3 0.3172 0.0005 0.6452
K4 0.6828 0.9995 0.3548
O1 0.4354 0.6114 0.9312
O2 0.9354 0.3886 0.5688
O3 0.5646 0.3886 0.0688
O4 0.0646 0.6114 0.4312
Al1 0.8933 0.4993 0.1314
Al2 0.1067 0.5007 0.8686
Al3 0.3933 0.5007 0.3686
Al4 0.6067 0.4993 0.6314

Computed properties:
Total magnetic moment   10.00 μB/cell
Total energy after the MP2020 corrections   -5.146 eV/atom
Formation energy from the elements   -2.690 eV per atom



[3]
This record from the Materials Project database describes an optimized crystal structure of K3Al3OF12. The functional is GGA-PBE.

Unit cell a=6.7602 b=7.1733 c=12.2674 alpha=90.00 beta=90.00 gamma=90.00
Positions (direct):
Al1 0.0000 0.2500 0.7500
Al2 0.9534 0.0000 0.5000
Al3 0.0466 0.5000 0.0000
Al4 0.0000 0.7500 0.7500
Al5 0.0000 0.2500 0.2500
Al6 0.0000 0.7500 0.2500
F1 0.0577 0.0000 0.7847
F2 0.0498 0.6875 0.8942
F3 0.2165 0.0000 0.5000
F4 0.9502 0.8125 0.3942
F5 0.3084 0.5000 0.0000
F6 0.7835 0.5000 0.0000
F7 0.9502 0.1875 0.6058
F8 0.2530 0.2888 0.7154
F9 0.2530 0.7112 0.2846
F10 0.9423 0.5000 0.2847
F11 0.7470 0.7888 0.2154
F12 0.0577 0.0000 0.2153
F13 0.9502 0.1875 0.3942
F14 0.7470 0.2112 0.2154
F15 0.7470 0.2112 0.7846
F16 0.2530 0.7112 0.7154
F17 0.0498 0.3125 0.1058
F18 0.0498 0.6875 0.1058
F19 0.9502 0.8125 0.6058
F20 0.7470 0.7888 0.7846
F21 0.0498 0.3125 0.8942
F22 0.9423 0.5000 0.7153
F23 0.6916 0.0000 0.5000
F24 0.2530 0.2888 0.2846
K1 0.4795 0.0000 0.6742
K2 0.4795 0.0000 0.3258
K3 0.8288 0.0000 0.0000
K4 0.1712 0.5000 0.5000
K5 0.5205 0.5000 0.1742
K6 0.5205 0.5000 0.8258
O1 0.6110 0.5000 0.5000
O2 0.3890 0.0000 0.0000

Computed properties:
Total magnetic moment   3.99 μB/cell
Total energy after the MP2020 corrections   -5.569 eV/atom
Formation energy from the elements   -3.332 eV per atom



[4]
This record from the Materials Project database describes an optimized crystal structure of K2AlOF5. The functional is GGA-PBE.

Unit cell a=6.1675 b=6.1675 c=7.5264 alpha=90.00 beta=90.00 gamma=100.75
Positions (direct):
F1 0.7711 0.7711 0.0251
F2 0.8085 0.1915 0.5000
F3 0.8085 0.1915 0.0000
F4 0.7711 0.7711 0.4749
F5 0.1915 0.8085 0.5000
F6 0.2289 0.2289 0.9749
F7 0.2289 0.2289 0.5251
F8 0.1915 0.8085 0.0000
F9 0.9662 0.9662 0.7500
F10 0.0338 0.0338 0.2500
O1 0.4558 0.4558 0.7500
O2 0.5442 0.5442 0.2500
Al1 0.0000 0.0000 0.0000
Al2 0.0000 0.0000 0.5000
K1 0.5018 0.0394 0.2500
K2 0.9606 0.4982 0.7500
K3 0.4982 0.9606 0.7500
K4 0.0394 0.5018 0.2500

Computed properties:
Total magnetic moment   4.00 μB/cell
Total energy after the MP2020 corrections   -5.158 eV/atom
Formation energy from the elements   -2.882 eV per atom



[5]
This record from the Materials Project database describes an optimized crystal structure of K3Al4P2O8F9. The functional is GGA-PBE.

Unit cell a=14.0264 b=6.8258 c=7.3864 alpha=73.89 beta=90.00 gamma=90.00
Positions (direct):
F1 0.6610 0.5268 0.1472
F2 0.3439 0.0912 0.8789
F3 0.5919 0.8452 0.4538
F4 0.8439 0.9088 0.1211
F5 0.4081 0.1548 0.5462
F6 0.1610 0.4732 0.8528
F7 0.7500 0.7955 0.8679
F8 0.2500 0.3227 0.6099
F9 0.0919 0.1548 0.5462
F10 0.3390 0.4732 0.8528
F11 0.9081 0.8452 0.4538
F12 0.7500 0.2345 0.0648
F13 0.7500 0.6773 0.3901
F14 0.2500 0.2045 0.1321
F15 0.1561 0.0912 0.8789
F16 0.6561 0.9088 0.1211
F17 0.8390 0.5268 0.1472
F18 0.2500 0.7655 0.9352
P1 0.6023 0.3472 0.7153
P2 0.8977 0.3472 0.7153
P3 0.1023 0.6528 0.2847
P4 0.3977 0.6528 0.2847
O1 0.6503 0.5008 0.8050
O2 0.8460 0.1376 0.7765
O3 0.3460 0.8624 0.2235
O4 0.5015 0.6833 0.2114
O5 0.8948 0.4231 0.4982
O6 0.9985 0.6833 0.2114
O7 0.1503 0.4992 0.1950
O8 0.6540 0.1376 0.7765
O9 0.4985 0.3167 0.7886
O10 0.6052 0.4231 0.4982
O11 0.0015 0.3167 0.7886
O12 0.8497 0.5008 0.8050
O13 0.1540 0.8624 0.2235
O14 0.1052 0.5769 0.5018
O15 0.3948 0.5769 0.5018
O16 0.3497 0.4992 0.1950
Al1 0.8779 0.6721 0.3190
Al2 0.3779 0.3279 0.6810
Al3 0.7500 0.0269 0.9479
Al4 0.7500 0.5159 0.9614
Al5 0.2500 0.9731 0.0521
Al6 0.1221 0.3279 0.6810
Al7 0.2500 0.4841 0.0386
Al8 0.6221 0.6721 0.3190
K1 0.9903 0.8119 0.7908
K2 0.0097 0.1881 0.2092
K3 0.4903 0.1881 0.2092
K4 0.5097 0.8119 0.7908
K5 0.2500 0.9197 0.5411
K6 0.7500 0.0803 0.4589

Computed properties:
Total magnetic moment   0.00 μB/cell
Total energy after the MP2020 corrections   -6.686 eV/atom
Formation energy from the elements   -3.380 eV per atom



[6]
This record from the Materials Project database describes an optimized crystal structure of K2AlSO4F3. The functional is GGA-PBE.

Unit cell a=6.9619 b=8.4748 c=11.1212 alpha=90.00 beta=90.00 gamma=90.00
Positions (direct):
F1 0.4784 0.9478 0.3452
F2 0.7500 0.4163 0.0000
F3 0.7500 0.9163 0.5000
F4 0.9784 0.5522 0.1548
F5 0.0216 0.9478 0.6548
F6 0.4784 0.4478 0.1548
F7 0.2500 0.5837 0.0000
F8 0.2500 0.0837 0.5000
F9 0.0216 0.4478 0.8452
F10 0.9784 0.0522 0.3452
F11 0.5216 0.0522 0.6548
F12 0.5216 0.5522 0.8452
O1 0.4058 0.2976 0.9480
O2 0.6723 0.4019 0.5990
O3 0.0942 0.7976 0.4480
O4 0.5942 0.7024 0.0520
O5 0.8277 0.9019 0.0990
O6 0.3277 0.0981 0.0990
O7 0.1723 0.0981 0.9010
O8 0.0942 0.2976 0.0520
O9 0.9058 0.7024 0.9480
O10 0.6723 0.9019 0.9010
O11 0.1723 0.5981 0.5990
O12 0.9058 0.2024 0.5520
O13 0.3277 0.5981 0.4010
O14 0.5942 0.2024 0.4480
O15 0.8277 0.4019 0.4010
O16 0.4058 0.7976 0.5520
K1 0.7999 0.1758 0.8035
K2 0.7999 0.6758 0.6965
K3 0.2001 0.8242 0.1965
K4 0.2999 0.8242 0.8035
K5 0.2001 0.3242 0.3035
K6 0.7001 0.6758 0.3035
K7 0.7001 0.1758 0.1965
K8 0.2999 0.3242 0.6965
S1 0.7500 0.3080 0.5000
S2 0.2500 0.1920 0.0000
S3 0.7500 0.8080 0.0000
S4 0.2500 0.6920 0.5000
Al1 0.0000 0.0000 0.5000
Al2 0.5000 0.0000 0.5000
Al3 0.0000 0.5000 0.0000
Al4 0.5000 0.5000 0.0000

Computed properties:
Total energy after the MP2020 corrections   -6.123 eV/atom
Formation energy from the elements   -2.883 eV per atom



[7]
This record from the Materials Project database describes an optimized crystal structure of K2AlTlF6. The functional is GGA-PBE.

Unit cell a=6.3303 b=6.3303 c=6.3303 alpha=60.00 beta=60.00 gamma=60.00
Positions (direct):
F1 0.2052 0.2052 0.7948
F2 0.7948 0.2052 0.7948
F3 0.2052 0.7948 0.7948
F4 0.7948 0.2052 0.2052
F5 0.7948 0.7948 0.2052
F6 0.2052 0.7948 0.2052
Tl1 0.5000 0.5000 0.5000
K1 0.2500 0.2500 0.2500
K2 0.7500 0.7500 0.7500
Al1 0.0000 0.0000 0.0000

Computed properties:
Total magnetic moment   0.00 μB/cell
Total energy after the MP2020 corrections   -5.153 eV/atom
Formation energy from the elements   -3.171 eV per atom



[8]
This record from the Materials Project database describes an optimized crystal structure of Li3AlF6. The functional is GGA-PBE.

Unit cell a=4.9474 b=8.3501 c=9.6713 alpha=90.00 beta=90.00 gamma=90.00
Positions (direct):
F1 0.8259 0.6188 0.2440
F2 0.1920 0.2568 0.4759
F3 0.1689 0.5913 0.5131
F4 0.8613 0.5670 0.7231
F5 0.3259 0.3812 0.7560
F6 0.1689 0.9087 0.0131
F7 0.3259 0.1188 0.2560
F8 0.6488 0.4020 0.9706
F9 0.8018 0.2664 0.2642
F10 0.6689 0.0913 0.9869
F11 0.1920 0.2432 0.9759
F12 0.1488 0.9020 0.5294
F13 0.6920 0.7568 0.0241
F14 0.8613 0.9330 0.2231
F15 0.6488 0.0980 0.4706
F16 0.8259 0.8812 0.7440
F17 0.1488 0.5980 0.0294
F18 0.6920 0.7432 0.5241
F19 0.3018 0.7664 0.2358
F20 0.8018 0.2336 0.7642
F21 0.3018 0.7336 0.7358
F22 0.3613 0.4330 0.2769
F23 0.3613 0.0670 0.7769
F24 0.6689 0.4087 0.4869
Al1 0.5001 0.2402 0.8722
Al2 0.0001 0.7598 0.1278
Al3 0.5001 0.2598 0.3722
Al4 0.0001 0.7402 0.6278
Li1 0.5048 0.9555 0.6056
Li2 0.5048 0.5445 0.1056
Li3 0.9922 0.3513 0.6253
Li4 0.4922 0.6487 0.3747
Li5 0.9922 0.1487 0.1253
Li6 0.0048 0.0445 0.3944
Li7 0.0048 0.4555 0.8944
Li8 0.4971 0.5467 0.6456
Li9 0.9971 0.0467 0.8544
Li10 0.9971 0.4533 0.3544
Li11 0.4971 0.9533 0.1456
Li12 0.4922 0.8513 0.8747

Computed properties:
Largest piezoelectric modulus   0.2 C/m²
Total energy after the MP2020 corrections   -5.571 eV/atom
Excess energy over the best structure of this formula in the dataset   6 meV/atom
Formation energy from the elements   -3.475 eV per atom



[9]
This record from the Materials Project database describes an optimized crystal structure of Li3AlF6. The functional is GGA-PBE.

Unit cell a=5.3188 b=5.3188 c=5.3188 alpha=60.00 beta=60.00 gamma=60.00
Positions (direct):
Li1 0.5000 0.5000 0.5000
Li2 0.2500 0.2500 0.2500
Li3 0.7500 0.7500 0.7500
F1 0.7598 0.7598 0.2402
F2 0.2402 0.7598 0.2402
F3 0.2402 0.2402 0.7598
F4 0.2402 0.7598 0.7598
F5 0.7598 0.2402 0.2402
F6 0.7598 0.2402 0.7598
Al1 0.0000 0.0000 0.0000

Computed properties:
Total energy after the MP2020 corrections   -5.411 eV/atom
Excess energy over the best structure of this formula in the dataset   166 meV/atom
Formation energy from the elements   -3.315 eV per atom



[10]
This record from the Materials Project database describes an optimized crystal structure of Li3AlF6. The functional is GGA-PBE.

Unit cell a=8.3930 b=8.3930 c=10.0485 alpha=86.46 beta=86.46 gamma=61.09
Positions (direct):
F1 0.4529 0.7567 0.7999
F2 0.4136 0.4279 0.9276
F3 0.4262 0.1170 0.3907
F4 0.5864 0.5721 0.0724
F5 0.7354 0.7689 0.3255
F6 0.1184 0.4149 0.3959
F7 0.5851 0.8816 0.1041
F8 0.7689 0.7354 0.8255
F9 0.7702 0.0796 0.4382
F10 0.5564 0.2456 0.7058
F11 0.7544 0.4436 0.7942
F12 0.0729 0.0633 0.3419
F13 0.2433 0.5471 0.7001
F14 0.7567 0.4529 0.2999
F15 0.8816 0.5851 0.6041
F16 0.5471 0.2433 0.2001
F17 0.4279 0.4136 0.4276
F18 0.1170 0.4262 0.8907
F19 0.2298 0.9204 0.5618
F20 0.8830 0.5738 0.1093
F21 0.9130 0.2297 0.5615
F22 0.9271 0.9367 0.6581
F23 0.0796 0.7702 0.9382
F24 0.2297 0.9130 0.0615
F25 0.0870 0.7703 0.4385
F26 0.5738 0.8830 0.6093
F27 0.4149 0.1184 0.8959
F28 0.2456 0.5564 0.2058
F29 0.9204 0.2298 0.0618
F30 0.0633 0.0729 0.8419
F31 0.4436 0.7544 0.2942
F32 0.2311 0.2646 0.1745
F33 0.7703 0.0870 0.9385
F34 0.9367 0.9271 0.1581
F35 0.2646 0.2311 0.6745
F36 0.5721 0.5864 0.5724
Li1 0.4507 0.8830 0.4456
Li2 0.0050 0.7178 0.7678
Li3 0.5493 0.1170 0.5544
Li4 0.6569 0.9387 0.9316
Li5 0.1917 0.8083 0.2500
Li6 0.3431 0.0613 0.0684
Li7 0.0613 0.3431 0.5684
Li8 0.7178 0.0050 0.2678
Li9 0.8083 0.1917 0.7500
Li10 0.6239 0.3257 0.0441
Li11 0.2822 0.9950 0.7322
Li12 0.3257 0.6239 0.5441
Li13 0.6743 0.3761 0.4559
Li14 0.1170 0.5493 0.0544
Li15 0.9387 0.6569 0.4316
Li16 0.9950 0.2822 0.2322
Li17 0.3761 0.6743 0.9559
Li18 0.8830 0.4507 0.9456
Al1 0.3384 0.3343 0.7995
Al2 0.3343 0.3384 0.2995
Al3 0.0000 0.0000 0.5000
Al4 0.0000 0.0000 0.0000
Al5 0.6657 0.6616 0.7005
Al6 0.6616 0.6657 0.2005

Computed properties:
Total energy after the MP2020 corrections   -5.577 eV/atom
Excess energy over the best structure of this formula in the dataset   0 meV/atom
Formation energy from the elements   -3.481 eV per atom